Run a
MnCo3O8: optimized geometry, PBE with a Hubbard U.

Lattice parameters (Å, degrees): 5.626 5.626 8.709 90.01 90.01 120.00
Element x y z (fractional)
Mn (0.333, 0.667, 0.485)
Mn (0.667, 0.333, 0.985)
Co (0.167, 0.833, 0.209)
Co (0.167, 0.335, 0.209)
Co (0.665, 0.833, 0.209)
Co (0.335, 0.167, 0.709)
Co (0.833, 0.665, 0.709)
Co (0.833, 0.167, 0.709)
O (0.164, 0.836, 0.605)
O (0.038, 0.519, 0.337)
O (0.333, 0.667, 0.098)
O (0.000, 0.000, 0.320)
O (0.000, 0.000, 0.820)
O (0.164, 0.328, 0.605)
O (0.481, 0.962, 0.337)
O (0.481, 0.519, 0.337)
O (0.328, 0.164, 0.105)
O (0.672, 0.836, 0.605)
O (0.519, 0.481, 0.837)
O (0.519, 0.038, 0.837)
O (0.667, 0.333, 0.598)
O (0.836, 0.672, 0.105)
O (0.962, 0.481, 0.837)
O (0.836, 0.164, 0.105)

Values from the calculation:
Size of the total moment   12.0 μB per cell

Run b
MnCo3O8: optimized geometry, PBE with a Hubbard U.

Lattice parameters (Å, degrees): 5.719 5.719 5.719 58.98 58.98 58.98
Element x y z (fractional)
Mn (0.500, 0.500, 0.500)
Co (0.500, 0.000, 0.500)
Co (0.500, 0.500, 0.000)
Co (0.000, 0.500, 0.500)
O (0.261, 0.261, 0.705)
O (0.261, 0.705, 0.261)
O (0.735, 0.735, 0.735)
O (0.705, 0.261, 0.261)
O (0.295, 0.739, 0.739)
O (0.265, 0.265, 0.265)
O (0.739, 0.295, 0.739)
O (0.739, 0.739, 0.295)

Values from the calculation:
Size of the total moment   6.0 μB per cell

Verdict on stability: run a comes out on top.

Run a
Li11V6O5F19: optimized geometry, PBE with a Hubbard U.

Lattice parameters (Å, degrees): 5.163 5.439 16.275 99.31 90.40 90.69
Element x y z (fractional)
Li (0.484, 0.243, 0.559)
Li (0.008, 0.367, 0.889)
Li (0.508, 0.408, 0.782)
Li (0.000, 0.102, 0.230)
Li (0.508, 0.106, 0.105)
Li (0.996, 0.247, 0.429)
Li (0.011, 0.717, 0.557)
Li (0.498, 0.547, 0.223)
Li (0.475, 0.905, 0.891)
Li (0.999, 0.604, 0.107)
Li (0.499, 0.794, 0.442)
V (0.994, 0.029, 0.004)
V (0.984, 0.348, 0.665)
V (0.502, 0.167, 0.334)
V (0.519, 0.820, 0.666)
V (0.496, 0.466, 0.002)
V (0.003, 0.668, 0.334)
O (0.679, 0.169, 0.967)
O (0.810, 0.352, 0.310)
O (0.689, 0.512, 0.630)
O (0.189, 0.322, 0.042)
O (0.201, 0.978, 0.364)
F (0.827, 0.002, 0.624)
F (0.329, 0.176, 0.692)
F (0.639, 0.154, 0.452)
F (0.861, 0.984, 0.120)
F (0.865, 0.350, 0.779)
F (0.365, 0.183, 0.219)
F (0.361, 0.513, 0.886)
F (0.131, 0.347, 0.548)
F (0.823, 0.669, 0.970)
F (0.316, 0.495, 0.381)
F (0.186, 0.664, 0.696)
F (0.141, 0.647, 0.219)
F (0.859, 0.691, 0.451)
F (0.649, 0.484, 0.119)
F (0.137, 0.027, 0.890)
F (0.601, 0.854, 0.781)
F (0.365, 0.851, 0.554)
F (0.684, 0.836, 0.291)
F (0.316, 0.817, 0.038)

Values from the calculation:
Size of the total moment   12.0 μB per cell

Run b
Li11V6O5F19: optimized geometry, PBE with a Hubbard U.

Lattice parameters (Å, degrees): 5.260 5.447 16.083 98.73 90.05 90.80
Element x y z (fractional)
Li (0.447, 0.493, 0.214)
Li (0.962, 0.822, 0.769)
Li (0.504, 0.669, 0.435)
Li (0.964, 0.499, 0.100)
Li (0.470, 0.982, 0.897)
Li (0.039, 0.998, 0.215)
Li (0.995, 0.141, 0.435)
Li (0.514, 0.334, 0.770)
Li (0.515, 0.985, 0.104)
Li (0.477, 0.273, 0.552)
Li (0.016, 0.486, 0.894)
V (0.023, 0.649, 0.338)
V (0.476, 0.811, 0.668)
V (0.510, 0.462, 0.997)
V (0.010, 0.018, 0.999)
V (0.478, 0.154, 0.337)
V (0.012, 0.340, 0.667)
O (0.201, 0.376, 0.366)
O (0.328, 0.175, 0.026)
O (0.310, 0.873, 0.365)
O (0.826, 0.307, 0.971)
O (0.312, 0.529, 0.699)
F (0.690, 0.448, 0.299)
F (0.113, 0.873, 0.879)
F (0.403, 0.743, 0.551)
F (0.110, 0.617, 0.208)
F (0.612, 0.944, 0.783)
F (0.609, 0.603, 0.118)
F (0.855, 0.776, 0.445)
F (0.172, 0.035, 0.706)
F (0.188, 0.688, 0.028)
F (0.667, 0.145, 0.645)
F (0.814, 0.958, 0.302)
F (0.120, 0.231, 0.552)
F (0.369, 0.385, 0.879)
F (0.874, 0.085, 0.117)
F (0.375, 0.119, 0.210)
F (0.867, 0.445, 0.783)
F (0.641, 0.267, 0.452)
F (0.684, 0.794, 0.967)
F (0.817, 0.642, 0.646)

Values from the calculation:
Size of the total moment   12.0 μB per cell

Verdict on stability: run a comes out on top.

Run a
Ba2LiV2Si4O14: optimized geometry, PBE with a Hubbard U.

Lattice parameters (Å, degrees): 5.509 7.329 8.502 90.00 108.92 90.00
Element x y z (fractional)
Ba (0.806, 0.750, 0.588)
Ba (0.172, 0.250, 0.320)
Li (0.347, 0.250, 0.670)
V (0.120, 0.750, 0.215)
V (0.913, 0.250, 0.801)
Si (0.416, 0.536, 0.807)
Si (0.614, 0.480, 0.203)
Si (0.416, 0.964, 0.807)
Si (0.614, 0.020, 0.203)
O (0.135, 0.441, 0.722)
O (0.415, 0.563, 0.292)
O (0.135, 0.059, 0.722)
O (0.415, 0.937, 0.292)
O (0.516, 0.524, 0.007)
O (0.516, 0.976, 0.007)
O (0.019, 0.750, 0.013)
O (0.024, 0.250, 0.023)
O (0.384, 0.750, 0.742)
O (0.633, 0.250, 0.240)
O (0.612, 0.441, 0.722)
O (0.903, 0.563, 0.292)
O (0.612, 0.059, 0.722)
O (0.903, 0.937, 0.292)

Values from the calculation:
Size of the total moment   1.0 μB per cell

Run b
Ba2LiV2Si4O14: optimized geometry, PBE with a Hubbard U.

Lattice parameters (Å, degrees): 5.538 7.290 8.211 90.01 111.04 89.99
Element x y z (fractional)
Ba (0.815, 0.750, 0.601)
Ba (0.220, 0.250, 0.404)
Li (0.338, 0.750, 0.012)
V (0.103, 0.750, 0.222)
V (0.920, 0.250, 0.789)
Si (0.420, 0.522, 0.790)
Si (0.619, 0.474, 0.214)
Si (0.420, 0.978, 0.790)
Si (0.619, 0.026, 0.214)
O (0.130, 0.435, 0.708)
O (0.412, 0.558, 0.291)
O (0.130, 0.065, 0.708)
O (0.412, 0.941, 0.291)
O (0.517, 0.518, 0.003)
O (0.517, 0.982, 0.003)
O (0.002, 0.750, 0.986)
O (0.028, 0.250, 0.002)
O (0.382, 0.750, 0.740)
O (0.638, 0.250, 0.251)
O (0.622, 0.437, 0.709)
O (0.908, 0.554, 0.309)
O (0.622, 0.063, 0.709)
O (0.908, 0.946, 0.309)

Values from the calculation:
Size of the total moment   1.0 μB per cell

Verdict on stability: run b comes out on top.

Run a
MgFe2H2O4: optimized geometry, PBE with a Hubbard U.

Lattice parameters (Å, degrees): 3.261 5.188 5.694 79.25 90.00 90.00
Element x y z (fractional)
Mg (0.500, 0.921, 0.223)
Fe (0.000, 0.545, 0.990)
Fe (0.500, 0.274, 0.521)
H (0.000, 0.724, 0.558)
H (0.500, 0.249, 0.919)
O (0.000, 0.036, 0.378)
O (0.500, 0.076, 0.873)
O (0.000, 0.535, 0.645)
O (0.500, 0.544, 0.181)

Values from the calculation:
Size of the total moment   8.0 μB per cell

Run b
MgFe2H2O4: optimized geometry, PBE with a Hubbard U.

Lattice parameters (Å, degrees): 7.078 7.078 3.905 90.00 90.00 28.34
Element x y z (fractional)
Mg (0.102, 0.102, 0.250)
Fe (0.355, 0.355, 0.250)
Fe (0.721, 0.721, 0.750)
H (0.986, 0.986, 0.541)
H (0.986, 0.986, 0.959)
O (0.669, 0.669, 0.250)
O (0.300, 0.300, 0.750)
O (0.939, 0.939, 0.250)
O (0.045, 0.045, 0.750)

Values from the calculation:
Size of the total moment   8.0 μB per cell

Run c
MgFe2H2O4: optimized geometry, PBE with a Hubbard U.

Lattice parameters (Å, degrees): 4.244 6.662 6.583 150.97 85.23 94.26
Element x y z (fractional)
Mg (0.278, 0.928, 0.124)
Fe (0.209, 0.663, 0.326)
Fe (0.751, 0.312, 0.737)
H (0.506, 0.035, 0.857)
H (0.823, 0.913, 0.941)
O (0.257, 0.340, 0.721)
O (0.733, 0.745, 0.373)
O (0.288, 0.075, 0.954)
O (0.776, 0.894, 0.072)

Values from the calculation:
Size of the total moment   8.0 μB per cell

Verdict on stability: run c comes out on top.